No. 1
DFT (GGA-PBE) results for a geometry-optimized PrClO2 structure.

## Properties
E_form, eV per formula unit: -8.28
Volume, A^3/atom: 19.58
ΔE to the lowest computed polymorph, meV/atom: 56

a = 6.549 Å, b = 3.813 Å, c = 6.699 Å
α = 90.00°, β = 110.58°, γ = 90.00°
Space group P2_1/m (No. 11)
Inequivalent atoms, fractional coordinates:
Pr  0.191  0.250  0.336 (multiplicity 2)
Cl  0.236  0.750  0.023 (multiplicity 2)
O  0.045  0.250  0.618 (multiplicity 2)
O  0.415  0.750  0.543 (multiplicity 2)

---

No. 2
DFT (GGA-PBE) results for a geometry-optimized Nb3Sb structure.

## Properties
E_form, eV per formula unit: -1.30
Volume, A^3/atom: 18.74

a = 5.312 Å, b = 5.312 Å, c = 5.312 Å
α = 90.00°, β = 90.00°, γ = 90.00°
Space group Pm-3n (No. 223)
Inequivalent atoms, fractional coordinates:
Nb  0.000  0.250  0.500 (multiplicity 6)
Sb  0.000  0.000  0.000 (multiplicity 2)

---

No. 3
DFT (GGA-PBE) results for a geometry-optimized Na3LaScP3O12 structure.

## Properties
E_form, eV per formula unit: -61.05
Volume, A^3/atom: 14.59
ΔE to the lowest computed polymorph, meV/atom: 0

a = 9.276 Å, b = 9.319 Å, c = 23.341 Å
α = 89.84°, β = 89.84°, γ = 60.16°
Space group P1 (No. 1)
Inequivalent atoms, fractional coordinates:
Na  0.000  0.000  0.000 (multiplicity 1)
Na  0.000  0.359  0.746 (multiplicity 1)
Na  0.001  0.997  0.495 (multiplicity 1)
Na  0.035  0.296  0.413 (multiplicity 1)
Na  0.303  0.032  0.917 (multiplicity 1)
Na  0.304  0.663  0.413 (multiplicity 1)
Na  0.332  0.332  0.829 (multiplicity 1)
Na  0.334  0.329  0.330 (multiplicity 1)
Na  0.336  0.694  0.076 (multiplicity 1)
Na  0.364  0.634  0.745 (multiplicity 1)
Na  0.368  0.994  0.246 (multiplicity 1)
Na  0.637  0.361  0.245 (multiplicity 1)
Na  0.654  0.690  0.661 (multiplicity 1)
Na  0.661  0.306  0.918 (multiplicity 1)
Na  0.694  0.340  0.571 (multiplicity 1)
Na  0.694  0.969  0.077 (multiplicity 1)
Na  0.695  0.649  0.164 (multiplicity 1)
Na  0.966  0.690  0.573 (multiplicity 1)
La  0.005  0.998  0.641 (multiplicity 1)
La  0.317  0.343  0.172 (multiplicity 1)
La  0.347  0.312  0.671 (multiplicity 1)
La  0.676  0.672  0.820 (multiplicity 1)
La  0.988  0.991  0.347 (multiplicity 1)
La  0.994  0.985  0.849 (multiplicity 1)
Sc  0.323  0.338  0.984 (multiplicity 1)
Sc  0.341  0.319  0.475 (multiplicity 1)
Sc  0.661  0.672  0.509 (multiplicity 1)
Sc  0.673  0.669  0.312 (multiplicity 1)
Sc  0.675  0.657  0.011 (multiplicity 1)
Sc  0.999  0.002  0.145 (multiplicity 1)
P  0.005  0.682  0.739 (multiplicity 1)
P  0.024  0.342  0.571 (multiplicity 1)
P  0.024  0.644  0.076 (multiplicity 1)
P  0.306  0.996  0.750 (multiplicity 1)
P  0.309  0.702  0.245 (multiplicity 1)
P  0.335  0.020  0.077 (multiplicity 1)
P  0.342  0.623  0.571 (multiplicity 1)
P  0.374  0.653  0.918 (multiplicity 1)
P  0.383  0.959  0.410 (multiplicity 1)
P  0.635  0.022  0.570 (multiplicity 1)
P  0.641  0.329  0.077 (multiplicity 1)
P  0.650  0.980  0.922 (multiplicity 1)
P  0.657  0.385  0.413 (multiplicity 1)
P  0.692  0.310  0.746 (multiplicity 1)
P  0.701  0.989  0.240 (multiplicity 1)
P  0.966  0.648  0.415 (multiplicity 1)
P  0.976  0.364  0.915 (multiplicity 1)
P  0.990  0.296  0.247 (multiplicity 1)
O  0.002  0.794  0.415 (multiplicity 1)
O  0.014  0.202  0.304 (multiplicity 1)
O  0.015  0.779  0.791 (multiplicity 1)
O  0.017  0.815  0.081 (multiplicity 1)
O  0.081  0.549  0.133 (multiplicity 1)
O  0.096  0.358  0.629 (multiplicity 1)
O  0.140  0.485  0.415 (multiplicity 1)
O  0.143  0.326  0.521 (multiplicity 1)
O  0.149  0.308  0.240 (multiplicity 1)
O  0.152  0.543  0.029 (multiplicity 1)
O  0.153  0.336  0.925 (multiplicity 1)
O  0.165  0.510  0.742 (multiplicity 1)
O  0.177  0.790  0.570 (multiplicity 1)
O  0.179  0.000  0.084 (multiplicity 1)
O  0.205  0.816  0.918 (multiplicity 1)
O  0.208  0.973  0.411 (multiplicity 1)
O  0.209  0.984  0.698 (multiplicity 1)
O  0.210  0.812  0.192 (multiplicity 1)
O  0.212  0.005  0.806 (multiplicity 1)
O  0.212  0.775  0.301 (multiplicity 1)
O  0.311  0.138  0.026 (multiplicity 1)
O  0.312  0.158  0.746 (multiplicity 1)
O  0.329  0.517  0.522 (multiplicity 1)
O  0.345  0.521  0.240 (multiplicity 1)
O  0.354  0.138  0.415 (multiplicity 1)
O  0.358  0.496  0.927 (multiplicity 1)
O  0.366  0.533  0.629 (multiplicity 1)
O  0.374  0.086  0.132 (multiplicity 1)
O  0.464  0.627  0.859 (multiplicity 1)
O  0.477  0.836  0.747 (multiplicity 1)
O  0.478  0.848  0.461 (multiplicity 1)
O  0.479  0.668  0.966 (multiplicity 1)
O  0.479  0.878  0.354 (multiplicity 1)
O  0.480  0.697  0.248 (multiplicity 1)
O  0.488  0.843  0.067 (multiplicity 1)
O  0.491  0.153  0.927 (multiplicity 1)
O  0.497  0.369  0.416 (multiplicity 1)
O  0.497  0.642  0.564 (multiplicity 1)
O  0.513  0.339  0.746 (multiplicity 1)
O  0.523  0.141  0.236 (multiplicity 1)
O  0.526  0.145  0.524 (multiplicity 1)
O  0.537  0.370  0.132 (multiplicity 1)
O  0.544  0.302  0.027 (multiplicity 1)
O  0.555  0.081  0.630 (multiplicity 1)
O  0.628  0.911  0.865 (multiplicity 1)
O  0.640  0.489  0.358 (multiplicity 1)
O  0.661  0.482  0.065 (multiplicity 1)
O  0.665  0.845  0.564 (multiplicity 1)
O  0.665  0.864  0.971 (multiplicity 1)
O  0.672  0.474  0.466 (multiplicity 1)
O  0.682  0.481  0.746 (multiplicity 1)
O  0.687  0.831  0.248 (multiplicity 1)
O  0.777  0.025  0.292 (multiplicity 1)
O  0.782  0.211  0.800 (multiplicity 1)
O  0.790  0.220  0.691 (multiplicity 1)
O  0.802  0.007  0.921 (multiplicity 1)
O  0.807  0.014  0.569 (multiplicity 1)
O  0.807  0.974  0.186 (multiplicity 1)
O  0.810  0.166  0.083 (multiplicity 1)
O  0.818  0.214  0.412 (multiplicity 1)
O  0.828  0.467  0.250 (multiplicity 1)
O  0.846  0.675  0.065 (multiplicity 1)
O  0.848  0.477  0.960 (multiplicity 1)
O  0.851  0.501  0.567 (multiplicity 1)
O  0.853  0.657  0.742 (multiplicity 1)
O  0.866  0.662  0.469 (multiplicity 1)
O  0.870  0.641  0.361 (multiplicity 1)
O  0.921  0.440  0.855 (multiplicity 1)
O  0.971  0.195  0.197 (multiplicity 1)
O  0.986  0.192  0.918 (multiplicity 1)
O  0.996  0.192  0.570 (multiplicity 1)
O  0.996  0.773  0.683 (multiplicity 1)

---

No. 4
DFT (GGA-PBE) results for a geometry-optimized NiPt3 structure.

## Properties
E_form, eV per formula unit: -0.25
Volume, A^3/atom: 14.59

a = 3.879 Å, b = 3.879 Å, c = 3.879 Å
α = 90.00°, β = 90.00°, γ = 90.00°
Space group Pm-3m (No. 221)
Inequivalent atoms, fractional coordinates:
Ni  0.000  0.000  0.000 (multiplicity 1)
Pt  0.000  0.500  0.500 (multiplicity 3)

---

No. 5
DFT (GGA-PBE) results for a geometry-optimized NaNd3PtO7 structure.

## Properties
E_form, eV per formula unit: -34.13
Volume, A^3/atom: 14.08

a = 9.869 Å, b = 5.894 Å, c = 12.062 Å
α = 90.00°, β = 105.55°, γ = 90.00°
Space group Cc (No. 9)
Inequivalent atoms, fractional coordinates:
Na  0.000  0.229  0.000 (multiplicity 4)
Nd  0.163  0.250  0.518 (multiplicity 4)
Nd  0.297  0.257  0.830 (multiplicity 4)
Nd  0.417  0.256  0.199 (multiplicity 4)
Pt  0.101  0.248  0.256 (multiplicity 4)
O  0.018  0.465  0.353 (multiplicity 4)
O  0.099  0.037  0.856 (multiplicity 4)
O  0.117  0.471  0.664 (multiplicity 4)
O  0.198  0.047  0.158 (multiplicity 4)
O  0.295  0.327  0.358 (multiplicity 4)
O  0.394  0.327  0.666 (multiplicity 4)
O  0.422  0.302  0.013 (multiplicity 4)

---

No. 6
DFT (GGA-PBE) results for a geometry-optimized Ce4Si3S12 structure.

## Properties
E_form, eV per formula unit: -32.34
Volume, A^3/atom: 22.61

a = 19.2936 Å, b = 19.2936 Å, c = 7.9964 Å
α = 90.00°, β = 90.00°, γ = 120.00°
Space group R3c (No. 161, hexagonal axes)
Inequivalent atoms, fractional coordinates:
Ce  0.0000  0.0000  0.0000 (multiplicity 6)
Ce  0.0028  0.2310  0.2052 (multiplicity 18)
Si  0.1471  0.4667  0.3217 (multiplicity 18)
S  0.0006  0.2690  0.8484 (multiplicity 18)
S  0.0838  0.2018  0.5043 (multiplicity 18)
S  0.1253  0.0597  0.7503 (multiplicity 18)
S  0.1534  0.3801  0.1668 (multiplicity 18)

---

No. 7
DFT (GGA-PBE) results for a geometry-optimized B4H5 structure.

## Properties
E_form, eV per formula unit: -1.59
Volume, A^3/atom: 10.10
ΔE to the lowest computed polymorph, meV/atom: 0

a = 6.117 Å, b = 13.995 Å, c = 17.020 Å
α = 90.00°, β = 93.49°, γ = 90.00°
Space group P2_1/c (No. 14)
Inequivalent atoms, fractional coordinates:
B  0.003  0.103  0.240 (multiplicity 4)
B  0.033  0.698  0.327 (multiplicity 4)
B  0.038  0.083  0.137 (multiplicity 4)
B  0.053  0.012  0.803 (multiplicity 4)
B  0.092  0.668  0.008 (multiplicity 4)
B  0.170  0.647  0.412 (multiplicity 4)
B  0.179  0.710  0.506 (multiplicity 4)
B  0.188  0.512  0.397 (multiplicity 4)
B  0.226  0.680  0.253 (multiplicity 4)
B  0.229  0.540  0.234 (multiplicity 4)
B  0.241  0.603  0.943 (multiplicity 4)
B  0.309  0.716  0.349 (multiplicity 4)
B  0.330  0.030  0.815 (multiplicity 4)
B  0.369  0.690  0.001 (multiplicity 4)
B  0.407  0.703  0.446 (multiplicity 4)
B  0.426  0.682  0.898 (multiplicity 4)
H  0.006  0.134  0.441 (multiplicity 4)
H  0.008  0.249  0.018 (multiplicity 4)
H  0.027  0.623  0.941 (multiplicity 4)
H  0.068  0.577  0.712 (multiplicity 4)
H  0.094  0.237  0.673 (multiplicity 4)
H  0.143  0.110  0.292 (multiplicity 4)
H  0.158  0.667  0.566 (multiplicity 4)
H  0.187  0.037  0.954 (multiplicity 4)
H  0.206  0.071  0.106 (multiplicity 4)
H  0.250  0.514  0.168 (multiplicity 4)
H  0.255  0.635  0.868 (multiplicity 4)
H  0.257  0.729  0.198 (multiplicity 4)
H  0.261  0.518  0.945 (multiplicity 4)
H  0.397  0.519  0.381 (multiplicity 4)
H  0.410  0.146  0.622 (multiplicity 4)
H  0.421  0.675  0.294 (multiplicity 4)
H  0.427  0.533  0.269 (multiplicity 4)
H  0.431  0.159  0.035 (multiplicity 4)
H  0.434  0.102  0.814 (multiplicity 4)
H  0.499  0.171  0.447 (multiplicity 4)

---

Question: volume of number 1 (PrClO2)?
Answer: 19.58 A^3/atom

---

Question: Which of these has the highest volume?
Answer: Ce4Si3S12